Crystalline Mg6ZrCd at its relaxed geometry. Source: the Materials Project database, functional PBE-GGA.

a b c (Å): 5.034 6.409 11.106
angles (deg): 90.00 90.00 90.00
Sites, in units of the cell vectors:
Mg (0.000, 0.500, 0.835)
Mg (0.000, 0.248, 0.582)
Mg (0.000, 0.748, 0.082)
Mg (0.500, 0.253, 0.416)
Mg (0.500, 0.753, 0.916)
Mg (0.500, 0.247, 0.916)
Mg (0.500, 0.000, 0.167)
Mg (0.000, 0.252, 0.082)
Mg (0.000, 0.000, 0.335)
Mg (0.500, 0.500, 0.667)
Mg (0.000, 0.752, 0.582)
Mg (0.500, 0.747, 0.416)
Zr (0.000, 0.500, 0.331)
Zr (0.000, 0.000, 0.831)
Cd (0.500, 0.500, 0.171)
Cd (0.500, 0.000, 0.671)

Calculated formation energy in kJ/mol of formula units: 15
ΔE to the lowest computed polymorph in meV/atom: 3
Size of the total moment in μB/f.u.: 0.1


Crystalline Mg6ZrCd at its relaxed geometry. Source: the Materials Project database, functional PBE-GGA.

a b c (Å): 5.038 6.294 11.298
angles (deg): 90.00 90.00 90.00
Sites, in units of the cell vectors:
Mg (0.000, 0.743, 0.582)
Mg (0.500, 0.751, 0.422)
Mg (0.000, 0.757, 0.082)
Mg (0.000, 0.000, 0.329)
Mg (0.000, 0.257, 0.582)
Mg (0.000, 0.000, 0.827)
Mg (0.500, 0.251, 0.922)
Mg (0.000, 0.500, 0.327)
Mg (0.500, 0.749, 0.922)
Mg (0.000, 0.243, 0.082)
Mg (0.500, 0.249, 0.422)
Mg (0.000, 0.500, 0.829)
Cd (0.500, 0.000, 0.664)
Cd (0.500, 0.500, 0.164)
Zr (0.500, 0.500, 0.672)
Zr (0.500, 0.000, 0.172)

Calculated formation energy in kJ/mol of formula units: 13
ΔE to the lowest computed polymorph in meV/atom: 0
Size of the total moment in μB/f.u.: 0.0


Crystalline Mn2CdN2 at its relaxed geometry. Source: the Materials Project database, functional PBE-GGA.

a b c (Å): 2.783 15.759 2.827
angles (deg): 90.00 90.00 90.00
Sites, in units of the cell vectors:
Mn (0.250, 0.055, 0.247)
Mn (0.250, 0.445, 0.247)
Mn (0.750, 0.555, 0.753)
Mn (0.750, 0.945, 0.753)
Cd (0.250, 0.750, 0.782)
Cd (0.750, 0.250, 0.218)
N (0.250, 0.572, 0.255)
N (0.250, 0.928, 0.255)
N (0.750, 0.072, 0.745)
N (0.750, 0.428, 0.745)

Calculated formation energy in kJ/mol of formula units: -68
ΔE to the lowest computed polymorph in meV/atom: 73
Size of the total moment in μB/f.u.: 4.0


Crystalline Mn2Cd9N8 at its relaxed geometry. Source: the Materials Project database, functional PBE-GGA.

a b c (Å): 9.385 9.385 7.426
angles (deg): 101.53 101.53 28.54
Sites, in units of the cell vectors:
Mn (0.207, 0.207, 0.228)
Mn (0.793, 0.793, 0.772)
Cd (0.042, 0.042, 0.202)
Cd (0.202, 0.202, 0.763)
Cd (0.340, 0.340, 0.587)
Cd (0.398, 0.398, 0.058)
Cd (0.500, 0.500, 0.500)
Cd (0.602, 0.602, 0.942)
Cd (0.660, 0.660, 0.413)
Cd (0.798, 0.798, 0.237)
Cd (0.958, 0.958, 0.798)
N (0.143, 0.143, 0.012)
N (0.163, 0.163, 0.420)
N (0.306, 0.306, 0.258)
N (0.479, 0.479, 0.770)
N (0.521, 0.521, 0.230)
N (0.694, 0.694, 0.742)
N (0.837, 0.837, 0.580)
N (0.857, 0.857, 0.988)

Calculated formation energy in kJ/mol of formula units: 523
Size of the total moment in μB/f.u.: 3.4


Crystalline Mn2CdN2 at its relaxed geometry. Source: the Materials Project database, functional PBE-GGA.

a b c (Å): 3.170 3.170 7.844
angles (deg): 104.95 104.95 61.69
Sites, in units of the cell vectors:
Mn (0.218, 0.218, 0.113)
Mn (0.782, 0.782, 0.887)
Cd (0.500, 0.500, 0.500)
N (0.105, 0.105, 0.847)
N (0.895, 0.895, 0.153)

Calculated formation energy in kJ/mol of formula units: -103
ΔE to the lowest computed polymorph in meV/atom: 0
Size of the total moment in μB/f.u.: 2.7


Crystalline MnCd2S3 at its relaxed geometry. Source: the Materials Project database, functional PBE-GGA.

a b c (Å): 7.869 7.869 9.806
angles (deg): 104.57 104.57 30.45
Sites, in units of the cell vectors:
Mn (0.000, 0.000, 0.000)
Mn (0.664, 0.664, 0.329)
Cd (0.057, 0.057, 0.608)
Cd (0.331, 0.331, 0.663)
Cd (0.389, 0.389, 0.271)
Cd (0.721, 0.721, 0.943)
S (0.119, 0.119, 0.876)
S (0.179, 0.179, 0.469)
S (0.458, 0.458, 0.537)
S (0.518, 0.518, 0.144)
S (0.786, 0.786, 0.211)
S (0.853, 0.853, 0.825)

Calculated formation energy in kJ/mol of formula units: -489
Size of the total moment in μB/f.u.: 5.0


Crystalline MnCdS2 at its relaxed geometry. Source: the Materials Project database, functional PBE-GGA.

a b c (Å): 7.046 7.046 7.046
angles (deg): 33.76 33.76 33.76
Sites, in units of the cell vectors:
Mn (0.000, 0.000, 0.000)
Cd (0.498, 0.498, 0.498)
S (0.369, 0.369, 0.369)
S (0.880, 0.880, 0.880)

Calculated formation energy in kJ/mol of formula units: -317
Size of the total moment in μB/f.u.: 5.0


Crystalline MnCdS2 at its relaxed geometry. Source: the Materials Project database, functional PBE-GGA.

a b c (Å): 4.100 4.100 6.644
angles (deg): 90.00 90.00 120.00
Sites, in units of the cell vectors:
Mn (0.000, 0.000, 0.000)
Cd (0.667, 0.333, 0.497)
S (0.000, 0.000, 0.637)
S (0.667, 0.333, 0.110)

Calculated formation energy in kJ/mol of formula units: -317